Sm3Ta17O47: optimized geometry, r2SCAN.

Properties
The energy of formation comes out at -3.21 eV per atom. Its symmetry is P2/m. As for the calculated volume: 13.82 Å³/atom. The calculation puts the uncorrected energy at -21.0609 eV/atom.

a = 12.704 Å, b = 3.881 Å, c = 19.271 Å
α = 90.00°, β = 103.04°, γ = 90.00°
Fractional positions:
Sm1 0.000 0.000 0.000
Sm2 0.378 0.000 0.668
Sm3 0.622 0.000 0.332
Ta1 0.027 0.500 0.854
Ta2 0.105 0.500 0.351
Ta3 0.192 0.500 0.718
Ta4 0.228 0.500 0.042
Ta5 0.235 0.500 0.216
Ta6 0.278 0.500 0.528
Ta7 0.411 0.500 0.374
Ta8 0.490 0.500 0.191
Ta9 0.500 0.500 0.000
Ta10 0.510 0.500 0.809
Ta11 0.589 0.500 0.626
Ta12 0.722 0.500 0.472
Ta13 0.765 0.500 0.784
Ta14 0.772 0.500 0.958
Ta15 0.808 0.500 0.282
Ta16 0.895 0.500 0.649
Ta17 0.973 0.500 0.146
O1 0.029 0.000 0.873
O2 0.050 0.500 0.665
O3 0.079 0.500 0.236
O4 0.088 0.500 0.964
O5 0.107 0.000 0.349
O6 0.122 0.500 0.116
O7 0.145 0.500 0.808
O8 0.153 0.500 0.454
O9 0.198 0.000 0.039
O10 0.221 0.000 0.721
O11 0.232 0.000 0.213
O12 0.236 0.500 0.622
O13 0.251 0.500 0.326
O14 0.292 0.000 0.543
O15 0.327 0.500 0.137
O16 0.340 0.500 0.996
O17 0.367 0.500 0.744
O18 0.375 0.500 0.464
O19 0.397 0.500 0.266
O20 0.430 0.500 0.609
O21 0.432 0.000 0.368
O22 0.473 0.500 0.896
O23 0.497 0.000 0.210
O24 0.500 0.000 0.000
O25 0.503 0.000 0.790
O26 0.527 0.500 0.104
O27 0.568 0.000 0.632
O28 0.570 0.500 0.391
O29 0.603 0.500 0.734
O30 0.625 0.500 0.536
O31 0.633 0.500 0.256
O32 0.660 0.500 0.004
O33 0.673 0.500 0.863
O34 0.708 0.000 0.457
O35 0.749 0.500 0.674
O36 0.764 0.500 0.378
O37 0.768 0.000 0.787
O38 0.779 0.000 0.279
O39 0.802 0.000 0.961
O40 0.847 0.500 0.546
O41 0.855 0.500 0.192
O42 0.878 0.500 0.884
O43 0.893 0.000 0.651
O44 0.912 0.500 0.036
O45 0.921 0.500 0.764
O46 0.950 0.500 0.335
O47 0.971 0.000 0.127